A) This record from the Materials Project describes a relaxed structure of Eu. The functional is r2SCAN.

a = 3.8864 Å, b = 3.8864 Å, c = 3.8864 Å
α = 109.47°, β = 109.47°, γ = 109.47°
Last column: nearest neighbours and their distance in Å.
Fractional coordinates of all 1 atoms:
Eu1 0.0000 0.0000 0.0000  8 Eu 3.89

Results
**SG**: No. 229
**Density**: 5.58 g/cm3

=====

B) This record from the Materials Project describes a relaxed structure of Eu. The functional is r2SCAN.

a = 6.6279 Å, b = 7.1501 Å, c = 7.1514 Å
α = 110.93°, β = 108.01°, γ = 108.07°
Last column: nearest neighbours and their distance in Å.
Fractional coordinates of all 6 atoms:
Eu1 0.9364 0.1860 0.3723  10 Eu 3.72-3.98
Eu2 0.5635 0.6275 0.8141  10 Eu 3.72-3.98
Eu3 0.7500 0.1860 0.8140  10 Eu 3.73-3.97
Eu4 0.4365 0.3725 0.1859  10 Eu 3.72-3.98
Eu5 0.2500 0.8140 0.1860  10 Eu 3.73-3.97
Eu6 0.0636 0.8140 0.6277  10 Eu 3.72-3.98

Results
**SG**: No. 15
**Density**: 5.71 g/cm3

=====

Most stable: A)